Record 1
Material: Ta6Co16Si7
Method: DFT, PBE
State: optimized geometry

Calculated values
SG = No. 225

abc: 7.8971 7.8971 7.8971
angles: 60.00 60.00 60.00
Atoms (fractional coordinates):
Co (0.1661, 0.1661, 0.5016)
Co (0.6185, 0.1444, 0.6185)
Si (0.5000, 0.5000, 0.5000)
Si (0.5000, 0.5000, 0.0000)
Co (0.1661, 0.1661, 0.1661)
Si (0.0000, 0.5000, 0.5000)
Ta (0.7978, 0.2022, 0.2022)
Co (0.5016, 0.1661, 0.1661)
Co (0.8339, 0.8339, 0.4984)
Ta (0.2022, 0.2022, 0.7978)
Si (0.0000, 0.0000, 0.5000)
Co (0.6185, 0.6185, 0.6185)
Ta (0.2022, 0.7978, 0.7978)
Ta (0.7978, 0.2022, 0.7978)
Co (0.8339, 0.8339, 0.8339)
Co (0.8339, 0.4984, 0.8339)
Si (0.5000, 0.0000, 0.0000)
Co (0.1444, 0.6185, 0.6185)
Co (0.6185, 0.6185, 0.1444)
Si (0.0000, 0.5000, 0.0000)
Co (0.8556, 0.3815, 0.3815)
Co (0.4984, 0.8339, 0.8339)
Si (0.5000, 0.0000, 0.5000)
Co (0.3815, 0.3815, 0.8556)
Co (0.3815, 0.3815, 0.3815)
Ta (0.2022, 0.7978, 0.2022)
Ta (0.7978, 0.7978, 0.2022)
Co (0.1661, 0.5016, 0.1661)
Co (0.3815, 0.8556, 0.3815)



Record 2
Material: Ta13Co40Si31
Method: DFT, PBE
State: optimized geometry

Calculated values
SG = No. 191

abc: 17.1512 17.1512 7.8689
angles: 90.00 90.00 120.00
Atoms (fractional coordinates):
Co (0.8975, 0.3424, 0.7705)
Si (0.6045, 0.2091, 0.1802)
Si (0.8386, 0.0000, 0.0000)
Ta (0.5767, 0.1534, 0.5000)
Si (0.1291, 0.7181, 0.5000)
Co (0.1025, 0.4449, 0.2295)
Co (0.8221, 0.9110, 0.2429)
Ta (0.4233, 0.5767, 0.5000)
Co (0.7378, 0.2622, 0.6579)
Si (0.8213, 0.1787, 0.7654)
Ta (0.2726, 0.2726, 0.7027)
Co (0.3424, 0.4449, 0.2295)
Ta (0.0000, 0.2726, 0.7027)
Co (0.9110, 0.0890, 0.7571)
Co (0.5823, 0.5823, 0.5000)
Si (0.1450, 0.0000, 0.5000)
Co (0.4449, 0.1025, 0.2295)
Ta (0.8466, 0.4233, 0.5000)
Ta (0.2726, 0.0000, 0.7027)
Si (0.3879, 0.0000, 0.0000)
Si (0.0000, 0.5000, 0.2626)
Co (0.0890, 0.9110, 0.2429)
Si (0.6427, 0.8213, 0.7654)
Co (0.4449, 0.3424, 0.2295)
Si (0.8709, 0.5890, 0.5000)
Si (0.6045, 0.3955, 0.8198)
Si (0.2091, 0.6045, 0.1802)
Si (0.8550, 0.8550, 0.5000)
Co (0.0890, 0.1779, 0.2429)
Co (0.8975, 0.5551, 0.7705)
Co (0.8583, 0.1417, 0.5000)
Ta (0.0000, 0.0000, 0.8002)
Co (0.4757, 0.7378, 0.3421)
Co (0.2622, 0.7378, 0.3421)
Co (0.0856, 0.3213, 0.0000)
Si (0.8213, 0.6427, 0.2346)
Co (0.2622, 0.5243, 0.3421)
Ta (0.2438, 0.7562, 0.0000)
Ta (0.7562, 0.5123, 0.0000)
Si (0.8550, 0.0000, 0.5000)
Co (0.0856, 0.7643, 0.0000)
Si (0.0000, 0.8550, 0.5000)
Co (0.2622, 0.7378, 0.6579)
Co (0.7378, 0.4757, 0.6579)
Co (0.8583, 0.7165, 0.5000)
Co (0.4449, 0.1025, 0.7705)
Si (0.8213, 0.6427, 0.7654)
Si (0.6121, 0.6121, 0.0000)
Si (0.2819, 0.8709, 0.5000)
Si (0.1787, 0.8213, 0.2346)
Co (0.5551, 0.6576, 0.2295)
Si (0.3573, 0.1787, 0.7654)
Si (0.6045, 0.3955, 0.1802)
Si (0.5890, 0.7181, 0.5000)
Si (0.8213, 0.1787, 0.2346)
Co (0.6787, 0.9144, 0.0000)
Ta (0.1534, 0.5767, 0.5000)
Si (0.0000, 0.1450, 0.5000)
Si (0.0000, 0.1614, 0.0000)
Si (0.4110, 0.2819, 0.5000)
Co (0.5551, 0.8975, 0.7705)
Si (0.8709, 0.2819, 0.5000)
Co (0.6576, 0.5551, 0.7705)
Co (0.8975, 0.3424, 0.2295)
Si (0.1787, 0.8213, 0.7654)
Co (0.3424, 0.4449, 0.7705)
Co (0.1025, 0.6576, 0.7705)
Si (0.3573, 0.1787, 0.2346)
Co (0.4561, 0.9122, 0.0000)
Co (0.2357, 0.9144, 0.0000)
Co (0.5243, 0.2622, 0.3421)
Ta (0.2726, 0.0000, 0.2973)
Si (0.7181, 0.5890, 0.5000)
Co (0.1025, 0.6576, 0.2295)
Co (0.5551, 0.6576, 0.7705)
Ta (0.4877, 0.2438, 0.0000)
Si (0.1614, 0.1614, 0.0000)
Co (0.9144, 0.6787, 0.0000)
Co (0.8975, 0.5551, 0.2295)
Si (0.1787, 0.3573, 0.2346)
Co (0.8221, 0.9110, 0.7571)
Co (0.7643, 0.6787, 0.0000)
Si (0.1291, 0.4110, 0.5000)
Co (0.5439, 0.4561, 0.0000)
Si (0.7909, 0.3955, 0.8198)
Ta (0.5767, 0.4233, 0.5000)
Ta (0.7562, 0.2438, 0.0000)
Co (0.7165, 0.8583, 0.5000)
Co (0.1417, 0.2835, 0.5000)
Si (0.0000, 0.8386, 0.0000)
Co (0.6667, 0.3333, 0.0000)
Co (0.9110, 0.8221, 0.2429)
Si (0.3955, 0.7909, 0.1802)
Co (0.1417, 0.8583, 0.5000)
Si (0.7909, 0.3955, 0.1802)
Co (0.9144, 0.2357, 0.0000)
Si (0.3955, 0.6045, 0.1802)
Co (0.3213, 0.2357, 0.0000)
Ta (0.5123, 0.7562, 0.0000)
Si (0.6427, 0.8213, 0.2346)
Si (0.5000, 0.0000, 0.2626)
Co (0.3424, 0.8975, 0.2295)
Si (0.8386, 0.8386, 0.0000)
Si (0.6121, 0.0000, 0.0000)
Si (0.6667, 0.3333, 0.5000)
Si (0.5000, 0.5000, 0.2626)
Co (0.1025, 0.4449, 0.7705)
Si (0.5000, 0.5000, 0.7374)
Si (0.3955, 0.6045, 0.8198)
Co (0.7378, 0.2622, 0.3421)
Si (0.4110, 0.1291, 0.5000)
Co (0.3424, 0.8975, 0.7705)
Si (0.1450, 0.1450, 0.5000)
Co (0.4177, 0.4177, 0.5000)
Co (0.4449, 0.3424, 0.7705)
Co (0.1779, 0.0890, 0.7571)
Co (0.0890, 0.1779, 0.7571)
Ta (0.0000, 0.7274, 0.2973)
Si (0.0000, 0.6121, 0.0000)
Co (0.6576, 0.1025, 0.2295)
Co (0.7378, 0.4757, 0.3421)
Si (0.1787, 0.3573, 0.7654)
Si (0.0000, 0.3879, 0.0000)
Si (0.0000, 0.5000, 0.7374)
Co (0.0000, 0.4177, 0.5000)
Co (0.4177, 0.0000, 0.5000)
Ta (0.0000, 0.2726, 0.2973)
Co (0.9110, 0.8221, 0.7571)
Co (0.5243, 0.2622, 0.6579)
Si (0.5000, 0.0000, 0.7374)
Si (0.5890, 0.8709, 0.5000)
Co (0.2835, 0.1417, 0.5000)
Co (0.3333, 0.6667, 0.0000)
Co (0.7643, 0.0856, 0.0000)
Co (0.0890, 0.9110, 0.7571)
Si (0.3955, 0.7909, 0.8198)
Ta (0.0000, 0.7274, 0.7027)
Ta (0.4233, 0.8466, 0.5000)
Si (0.1614, 0.0000, 0.0000)
Ta (0.2438, 0.4877, 0.0000)
Ta (0.0000, 0.0000, 0.1998)
Co (0.3213, 0.0856, 0.0000)
Ta (0.7274, 0.0000, 0.2973)
Si (0.3879, 0.3879, 0.0000)
Co (0.9122, 0.4561, 0.0000)
Ta (0.7274, 0.0000, 0.7027)
Si (0.6045, 0.2091, 0.8198)
Si (0.2819, 0.4110, 0.5000)
Co (0.0000, 0.5823, 0.5000)
Co (0.5551, 0.8975, 0.2295)
Co (0.9110, 0.0890, 0.2429)
Ta (0.7274, 0.7274, 0.2973)
Ta (0.2726, 0.2726, 0.2973)
Ta (0.7274, 0.7274, 0.7027)
Co (0.5823, 0.0000, 0.5000)
Si (0.7181, 0.1291, 0.5000)
Co (0.4561, 0.5439, 0.0000)
Co (0.2357, 0.3213, 0.0000)
Co (0.0878, 0.5439, 0.0000)
Si (0.3333, 0.6667, 0.5000)
Co (0.4757, 0.7378, 0.6579)
Co (0.2622, 0.5243, 0.6579)
Co (0.1779, 0.0890, 0.2429)
Si (0.2091, 0.6045, 0.8198)
Co (0.6576, 0.5551, 0.2295)
Co (0.5439, 0.0878, 0.0000)
Co (0.6787, 0.7643, 0.0000)
Co (0.6576, 0.1025, 0.7705)



Record 3
Material: TaCoSi
Method: DFT, PBE
State: optimized geometry

Calculated values
SG = No. 62

abc: 6.2157 3.6543 7.0306
angles: 90.00 90.00 90.00
Atoms (fractional coordinates):
Co (0.1420, 0.2500, 0.4359)
Ta (0.4798, 0.7500, 0.3200)
Co (0.3580, 0.7500, 0.9359)
Ta (0.9798, 0.7500, 0.1800)
Si (0.7249, 0.7500, 0.8831)
Si (0.7751, 0.2500, 0.3831)
Co (0.8580, 0.7500, 0.5641)
Ta (0.5202, 0.2500, 0.6800)
Si (0.2751, 0.2500, 0.1169)
Si (0.2249, 0.7500, 0.6169)
Co (0.6420, 0.2500, 0.0641)
Ta (0.0202, 0.2500, 0.8200)



Record 4
Material: Ta2Co3Si
Method: DFT, PBE
State: optimized geometry

Calculated values
SG = No. 194

abc: 4.8546 4.8546 7.5643
angles: 90.00 90.00 120.00
Atoms (fractional coordinates):
Ta (0.6667, 0.3333, 0.9405)
Co (0.6609, 0.8305, 0.7500)
Ta (0.6667, 0.3333, 0.5595)
Co (0.1695, 0.8305, 0.7500)
Co (0.1695, 0.3391, 0.7500)
Ta (0.3333, 0.6667, 0.0595)
Co (0.3391, 0.1695, 0.2500)
Co (0.8305, 0.6609, 0.2500)
Si (0.0000, 0.0000, 0.5000)
Co (0.8305, 0.1695, 0.2500)
Ta (0.3333, 0.6667, 0.4405)
Si (0.0000, 0.0000, 0.0000)



Record 5
Material: TbCoSi3
Method: DFT, PBE
State: optimized geometry

Calculated values
SG = No. 107

abc: 5.5645 5.5645 5.5645
angles: 137.30 137.30 61.98
Atoms (fractional coordinates):
Si (0.4290, 0.4290, 0.0000)
Si (0.2612, 0.7612, 0.5000)
Tb (0.0028, 0.0028, 0.0000)
Co (0.6608, 0.6608, 0.0000)
Si (0.7612, 0.2612, 0.5000)



Record 6
Material: TbCo9Si4
Method: DFT, PBE
State: optimized geometry

Calculated values
SG = No. 140

abc: 7.8914 7.8914 7.8914
angles: 121.54 121.54 87.35
Atoms (fractional coordinates):
Co (0.8119, 0.3119, 0.7624)
Co (0.1881, 0.6881, 0.2376)
Si (0.7901, 0.9532, 0.5000)
Co (0.6881, 0.4505, 0.5000)
Co (0.1986, 0.9294, 0.1280)
Co (0.3014, 0.4294, 0.7307)
Co (0.6986, 0.5706, 0.2693)
Si (0.4532, 0.2901, 0.5000)
Co (0.4294, 0.6986, 0.1280)
Tb (0.2500, 0.2500, 0.0000)
Co (0.3119, 0.5495, 0.5000)
Co (0.0706, 0.1986, 0.2693)
Co (0.5706, 0.3014, 0.8720)
Co (0.8014, 0.0706, 0.8720)
Co (0.4505, 0.9505, 0.7624)
Co (0.9294, 0.8014, 0.7307)
Co (0.5000, 0.0000, 0.5000)
Co (0.0495, 0.8119, 0.5000)
Si (0.0468, 0.5468, 0.8369)
Co (0.5495, 0.0495, 0.2376)
Co (0.9505, 0.1881, 0.5000)
Si (0.7099, 0.2099, 0.1631)
Tb (0.7500, 0.7500, 0.0000)
Si (0.9532, 0.4532, 0.1631)
Co (0.0000, 0.5000, 0.5000)
Si (0.5468, 0.7099, 0.5000)
Si (0.2099, 0.0468, 0.5000)
Si (0.2901, 0.7901, 0.8369)



Record 7
Material: Th2CoSi3
Method: DFT, PBE
State: optimized geometry

Calculated values
ΔE to the lowest computed polymorph = 58 meV per atom
SG = No. 187

abc: 4.0977 4.0977 8.1200
angles: 90.00 90.00 120.00
Atoms (fractional coordinates):
Co (0.3333, 0.6667, 0.0000)
Si (0.3333, 0.6667, 0.5000)
Si (0.0000, 0.0000, 0.0000)
Si (0.0000, 0.0000, 0.5000)
Th (0.6667, 0.3333, 0.7610)
Th (0.6667, 0.3333, 0.2390)



Record 8
Material: ThCoSi2
Method: DFT, PBE
State: optimized geometry

Calculated values
SG = No. 63

abc: 8.4624 8.4624 4.0912
angles: 90.00 90.00 151.78
Atoms (fractional coordinates):
Co (0.1800, 0.8200, 0.2500)
Co (0.8200, 0.1800, 0.7500)
Si (0.0413, 0.9587, 0.2500)
Si (0.2502, 0.7498, 0.7500)
Th (0.3922, 0.6078, 0.2500)
Th (0.6078, 0.3922, 0.7500)
Si (0.7498, 0.2502, 0.2500)
Si (0.9587, 0.0413, 0.7500)



Record 9
Material: Th2CoSi3
Method: DFT, PBE
State: optimized geometry

Calculated values
ΔE to the lowest computed polymorph = 0 meV per atom
SG = No. 44

abc: 7.5419 7.5419 7.5419
angles: 148.65 148.06 45.36
Atoms (fractional coordinates):
Th (0.0035, 0.0035, 0.0000)
Si (0.3261, 0.8261, 0.5000)
Si (0.5890, 0.5890, 0.0000)
Co (0.1633, 0.6633, 0.5000)
Th (0.7504, 0.2504, 0.5000)
Si (0.4176, 0.4176, 0.0000)



Record 10
Material: ThCo9Si2
Method: DFT, PBE
State: optimized geometry

Calculated values
SG = No. 141

abc: 7.5645 7.5645 7.5645
angles: 99.95 99.95 130.87
Atoms (fractional coordinates):
Co (0.8950, 0.8133, 0.3307)
Si (0.6250, 0.8750, 0.2500)
Co (0.5000, 0.5000, 0.0000)
Co (0.7674, 0.1857, 0.8307)
Co (0.4826, 0.5643, 0.6693)
Si (0.1250, 0.3750, 0.7500)
Si (0.6250, 0.3750, 0.7500)
Th (0.2500, 0.7500, 0.5000)
Co (0.0633, 0.2326, 0.4183)
Co (0.1867, 0.5174, 0.0817)
Co (0.4357, 0.5174, 0.3307)
Co (0.8143, 0.6450, 0.5817)
Co (0.3550, 0.1857, 0.4183)
Co (0.4357, 0.1050, 0.9183)
Co (0.8143, 0.2326, 0.1693)
Si (0.6250, 0.3750, 0.2500)
Co (0.8950, 0.5643, 0.0817)
Co (0.3550, 0.9367, 0.1693)
Co (0.4826, 0.8133, 0.9183)
Co (0.7674, 0.9367, 0.5817)
Co (0.7500, 0.2500, 0.5000)
Co (0.1867, 0.1050, 0.6693)
Th (0.0000, 0.0000, 0.0000)
Co (0.0633, 0.6450, 0.8307)



Record 11
Material: Th4Co10Si
Method: DFT, PBE
State: optimized geometry

Calculated values
SG = No. 141

abc: 13.1482 9.0582 9.0582
angles: 58.22 43.47 43.47
Atoms (fractional coordinates):
Co (0.9401, 0.8740, 0.6027)
Co (0.0640, 0.6260, 0.1027)
Co (0.1860, 0.3973, 0.8740)
Co (0.8333, 0.1027, 0.3740)
Co (0.8333, 0.3740, 0.1027)
Th (0.7557, 0.2046, 0.7954)
Co (0.3099, 0.6260, 0.8973)
Th (0.8012, 0.7046, 0.7046)
Co (0.1250, 0.7500, 0.2500)
Co (0.4167, 0.1260, 0.3973)
Th (0.0397, 0.2046, 0.2046)
Co (0.6250, 0.2500, 0.2500)
Co (0.4573, 0.1260, 0.6027)
Co (0.7927, 0.3740, 0.8973)
Co (0.1250, 0.7500, 0.7500)
Co (0.7927, 0.8973, 0.3740)
Si (0.2500, 0.5000, 0.5000)
Si (0.0000, 0.0000, 0.0000)
Th (0.4943, 0.7046, 0.2954)
Co (0.1860, 0.8740, 0.3973)
Th (0.4488, 0.7954, 0.7954)
Co (0.9401, 0.6027, 0.8740)
Co (0.3099, 0.8973, 0.6260)
Th (0.4943, 0.2954, 0.7046)
Co (0.4573, 0.6027, 0.1260)
Th (0.2103, 0.2954, 0.2954)
Th (0.7557, 0.7954, 0.2046)
Co (0.1250, 0.2500, 0.7500)
Co (0.4167, 0.3973, 0.1260)
Co (0.0640, 0.1027, 0.6260)



Record 12
Material: ThCoSi3
Method: DFT, PBE
State: optimized geometry

Calculated values
SG = No. 107

abc: 4.1754 4.1754 5.5851
angles: 111.95 111.95 90.00
Atoms (fractional coordinates):
Th (0.0025, 0.0025, 0.0050)
Si (0.7620, 0.2620, 0.5239)
Si (0.2620, 0.7620, 0.5239)
Si (0.4246, 0.4246, 0.8493)
Co (0.6640, 0.6640, 0.3279)



| no. | ΔH_f (0 K) (eV per atom) |
| --- | --- |
| 1 | -0.56 |
| 2 | -0.57 |
| 3 | -0.70 |
| 4 | -0.49 |
| 5 | -0.63 |
| 6 | -0.47 |
| 7 | -0.69 |
| 8 | -0.80 |
| 9 | -0.74 |
| 10 | -0.33 |
| 11 | 0.06 |
| 12 | -0.66 |